DFT (GGA+U) results for a relaxed structure of Co3B7IO13.

Properties
The total energy comes out at -7.1400 eV/atom. As for the energy above the lowest structure with this stoichiometry: 0.232 eV per atom. As for the formation enthalpy at 0 K: -2.137 eV/atom. As for the space-group type: No. 29.

a b c (Å): 9.380 8.436 12.945
angles (deg): 90.00 90.00 90.00
Positions (direct):
Co 0.038 0.001 0.000
Co 0.189 0.709 0.705
Co 0.249 0.354 0.727
Co 0.251 0.354 0.227
Co 0.311 0.709 0.205
Co 0.462 0.001 0.500
Co 0.538 0.999 0.000
Co 0.689 0.291 0.705
Co 0.749 0.646 0.727
Co 0.751 0.646 0.227
Co 0.811 0.291 0.205
Co 0.962 0.999 0.500
B 0.003 0.649 0.542
B 0.015 0.530 0.211
B 0.019 0.322 0.543
B 0.128 0.527 0.898
B 0.211 0.039 0.357
B 0.228 0.770 0.971
B 0.242 0.279 0.950
B 0.258 0.279 0.450
B 0.272 0.770 0.471
B 0.289 0.039 0.857
B 0.372 0.527 0.398
B 0.481 0.322 0.043
B 0.485 0.530 0.711
B 0.497 0.649 0.042
B 0.503 0.351 0.542
B 0.515 0.470 0.211
B 0.519 0.678 0.543
B 0.628 0.473 0.898
B 0.711 0.961 0.357
B 0.728 0.230 0.971
B 0.742 0.721 0.950
B 0.758 0.721 0.450
B 0.772 0.230 0.471
B 0.789 0.961 0.857
B 0.872 0.473 0.398
B 0.981 0.678 0.043
B 0.985 0.470 0.711
B 0.997 0.351 0.042
I 0.045 0.946 0.257
I 0.455 0.946 0.757
I 0.545 0.054 0.257
I 0.955 0.054 0.757
O 0.010 0.362 0.159
O 0.022 0.517 0.993
O 0.065 0.462 0.806
O 0.068 0.360 0.645
O 0.104 0.232 0.002
O 0.110 0.785 0.047
O 0.124 0.218 0.494
O 0.146 0.725 0.531
O 0.165 0.560 0.217
O 0.174 0.691 0.880
O 0.240 0.947 0.935
O 0.243 0.186 0.839
O 0.250 0.438 0.428
O 0.250 0.438 0.928
O 0.257 0.186 0.339
O 0.260 0.947 0.435
O 0.326 0.691 0.380
O 0.335 0.560 0.717
O 0.354 0.725 0.031
O 0.376 0.218 0.994
O 0.390 0.785 0.547
O 0.396 0.232 0.502
O 0.432 0.360 0.145
O 0.435 0.462 0.306
O 0.478 0.517 0.493
O 0.490 0.362 0.659
O 0.510 0.638 0.159
O 0.522 0.483 0.993
O 0.565 0.538 0.806
O 0.568 0.640 0.645
O 0.604 0.768 0.002
O 0.610 0.215 0.047
O 0.624 0.782 0.494
O 0.646 0.275 0.531
O 0.665 0.440 0.217
O 0.674 0.309 0.880
O 0.740 0.053 0.935
O 0.743 0.814 0.839
O 0.750 0.562 0.428
O 0.750 0.562 0.928
O 0.757 0.814 0.339
O 0.760 0.053 0.435
O 0.826 0.309 0.380
O 0.835 0.440 0.717
O 0.854 0.275 0.031
O 0.876 0.782 0.994
O 0.890 0.215 0.547
O 0.896 0.768 0.502
O 0.932 0.640 0.145
O 0.935 0.538 0.306
O 0.978 0.483 0.493
O 0.990 0.638 0.659



DFT (GGA+U) results for a relaxed structure of Li3Co4B4O12.

Properties
The total energy comes out at -6.7627 eV/atom. As for the formation enthalpy at 0 K: -2.178 eV/atom. As for the space-group type: No. 7.

a b c (Å): 5.217 8.927 11.255
angles (deg): 90.00 115.90 90.00
Positions (direct):
Li 0.000 0.245 0.000
Li 0.000 0.755 0.500
Li 0.084 0.253 0.756
Li 0.084 0.747 0.256
Li 0.571 0.255 0.259
Li 0.571 0.745 0.759
Co 0.058 0.416 0.237
Co 0.058 0.584 0.737
Co 0.489 0.423 0.990
Co 0.489 0.577 0.490
Co 0.553 0.087 0.716
Co 0.553 0.913 0.216
Co 0.980 0.093 0.477
Co 0.980 0.907 0.977
B 0.054 0.080 0.222
B 0.054 0.920 0.722
B 0.468 0.083 0.974
B 0.468 0.917 0.474
B 0.557 0.417 0.729
B 0.557 0.583 0.229
B 0.977 0.419 0.474
B 0.977 0.581 0.974
O 0.135 0.058 0.689
O 0.135 0.942 0.189
O 0.168 0.211 0.202
O 0.168 0.789 0.702
O 0.193 0.422 0.436
O 0.193 0.578 0.936
O 0.322 0.416 0.754
O 0.322 0.584 0.254
O 0.331 0.217 0.960
O 0.331 0.783 0.460
O 0.366 0.043 0.516
O 0.366 0.957 0.016
O 0.642 0.445 0.194
O 0.642 0.555 0.694
O 0.705 0.070 0.948
O 0.705 0.930 0.448
O 0.710 0.289 0.739
O 0.710 0.711 0.239
O 0.839 0.282 0.467
O 0.839 0.718 0.967
O 0.848 0.081 0.272
O 0.848 0.919 0.772
O 0.883 0.453 0.011
O 0.883 0.547 0.511



DFT (GGA+U) results for a relaxed structure of Li2CoBO4.

Properties
The total energy comes out at -6.3019 eV/atom. As for the energy above the lowest structure with this stoichiometry: 0.005 eV per atom. As for the formation enthalpy at 0 K: -2.175 eV/atom. As for the space-group type: No. 14.

a b c (Å): 6.425 5.106 10.683
angles (deg): 90.00 95.19 90.00
Positions (direct):
Li 0.100 0.152 0.292
Li 0.100 0.348 0.792
Li 0.217 0.172 0.571
Li 0.217 0.328 0.071
Li 0.783 0.672 0.929
Li 0.783 0.828 0.429
Li 0.900 0.652 0.208
Li 0.900 0.848 0.708
Co 0.497 0.660 0.654
Co 0.497 0.840 0.154
Co 0.503 0.160 0.846
Co 0.503 0.340 0.346
B 0.196 0.676 0.437
B 0.196 0.824 0.937
B 0.804 0.176 0.063
B 0.804 0.324 0.563
O 0.055 0.699 0.856
O 0.055 0.801 0.356
O 0.248 0.090 0.923
O 0.248 0.410 0.423
O 0.292 0.693 0.042
O 0.292 0.807 0.542
O 0.388 0.159 0.212
O 0.388 0.341 0.712
O 0.612 0.659 0.288
O 0.612 0.841 0.788
O 0.708 0.193 0.458
O 0.708 0.307 0.958
O 0.752 0.590 0.577
O 0.752 0.910 0.077
O 0.945 0.199 0.644
O 0.945 0.301 0.144



The lowest formation enthalpy at 0 K belongs to which entry?
Li3Co4B4O12



Which of these has the highest formation enthalpy at 0 K?
Co3B7IO13



What is the formation enthalpy at 0 K in the first record?
-2.137 eV/atom



Look up the formation enthalpy at 0 K of the third one.
-2.175 eV/atom